The following is a GGA+U calculation of a relaxed Mn6O7F5 crystal, from the Materials Project.

Output
Its space group is Pc. As for the formation energy: -2.20 eV per atom. Its energy above the lowest structure with this stoichiometry is 38 meV/atom. The volume comes out at 396.7 Å³ per cell. The calculation puts the total DFT energy (no corrections) at -6.763 eV per atom.

```
Mn6O7F5
1.0
-5.158 2.133 -0.500
-1.208 -1.991 3.968
4.443 12.555 7.706
Mn O F
12 14 10
Direct
0.146 0.945 0.911
0.351 0.503 0.086
0.649 0.503 0.586
0.363 0.511 0.754
0.832 0.986 0.745
0.148 0.014 0.579
0.168 0.986 0.245
0.353 0.511 0.424
0.647 0.511 0.924
0.637 0.511 0.254
0.854 0.945 0.411
0.852 0.014 0.079
0.114 0.761 0.469
0.614 0.707 0.476
0.602 0.713 0.817
0.383 0.286 0.195
0.891 0.794 0.635
0.107 0.769 0.802
0.109 0.794 0.135
0.617 0.286 0.695
0.624 0.282 0.030
0.398 0.713 0.317
0.886 0.761 0.969
0.376 0.282 0.530
0.386 0.707 0.976
0.893 0.769 0.302
0.876 0.263 0.193
0.129 0.231 0.359
0.615 0.772 0.142
0.124 0.263 0.693
0.385 0.772 0.642
0.382 0.235 0.868
0.116 0.219 0.015
0.618 0.235 0.368
0.884 0.219 0.515
0.871 0.231 0.859
```